An optimized crystal structure of Sc2NCl2. Source: the Materials Project database, functional GGA-PBE.

a = 3.3697 Å, b = 3.3697 Å, c = 9.5658 Å
α = 90.00°, β = 90.00°, γ = 120.00°
Fractional coordinates of all 5 atoms:
Sc  0.3333  0.6667  0.3758
Sc  0.6667  0.3333  0.6242
N  0.0000  0.0000  0.5000
Cl  0.3333  0.6667  0.8007
Cl  0.6667  0.3333  0.1993

Properties
formation enthalpy at 0 K = -2.23 eV per atom
electronic total energy = -6.9230 eV per atom

An optimized crystal structure of Sc4NCl6. Source: the Materials Project database, functional GGA-PBE.

a = 11.6305 Å, b = 12.1368 Å, c = 3.5066 Å
α = 90.00°, β = 90.00°, γ = 90.00°
Fractional coordinates of all 22 atoms:
Sc  0.1013  0.0776  0.0000
Sc  0.1190  0.8574  0.5000
Sc  0.3810  0.3574  0.5000
Sc  0.3987  0.5776  0.0000
Sc  0.6013  0.4224  0.0000
Sc  0.6190  0.6426  0.5000
Sc  0.8810  0.1426  0.5000
Sc  0.8987  0.9224  0.0000
N  0.0000  0.0000  0.5000
N  0.5000  0.5000  0.5000
Cl  0.0152  0.7424  0.0000
Cl  0.2344  0.1757  0.5000
Cl  0.2414  0.4290  0.0000
Cl  0.2586  0.9290  0.0000
Cl  0.2656  0.6757  0.5000
Cl  0.4848  0.2424  0.0000
Cl  0.5152  0.7576  0.0000
Cl  0.7344  0.3243  0.5000
Cl  0.7414  0.0710  0.0000
Cl  0.7586  0.5710  0.0000
Cl  0.7656  0.8243  0.5000
Cl  0.9848  0.2576  0.0000

Properties
formation enthalpy at 0 K = -2.29 eV per atom
electronic total energy = -6.0271 eV per atom

An optimized crystal structure of Sc5NCl8. Source: the Materials Project database, functional GGA-PBE.

a = 9.2320 Å, b = 9.2320 Å, c = 12.1341 Å
α = 128.93°, β = 128.93°, γ = 21.97°
Fractional coordinates of all 14 atoms:
Sc  0.0000  0.0000  0.0000
Sc  0.1548  0.1548  0.6669
Sc  0.4887  0.4887  0.6109
Sc  0.5113  0.5113  0.3891
Sc  0.8452  0.8452  0.3331
N  0.0000  0.0000  0.5000
Cl  0.0281  0.0281  0.2371
Cl  0.3036  0.3036  0.4368
Cl  0.3314  0.3314  0.1691
Cl  0.3699  0.3699  0.8971
Cl  0.6301  0.6301  0.1029
Cl  0.6686  0.6686  0.8309
Cl  0.6964  0.6964  0.5632
Cl  0.9719  0.9719  0.7629

Properties
formation enthalpy at 0 K = -2.29 eV per atom
electronic total energy = -5.8492 eV per atom

An optimized crystal structure of Se2NCl5. Source: the Materials Project database, functional GGA-PBE.

a = 8.7937 Å, b = 13.1215 Å, c = 18.4434 Å
α = 90.00°, β = 112.99°, γ = 90.00°
Fractional coordinates of all 64 atoms:
Se  0.0446  0.2459  0.4596
Se  0.0446  0.2541  0.9596
Se  0.0989  0.6165  0.9463
Se  0.0989  0.8835  0.4463
Se  0.2546  0.0372  0.8101
Se  0.2546  0.4628  0.3101
Se  0.3934  0.5814  0.2102
Se  0.3934  0.9186  0.7102
Se  0.6066  0.0814  0.2898
Se  0.6066  0.4186  0.7898
Se  0.7454  0.5372  0.6899
Se  0.7454  0.9628  0.1899
Se  0.9011  0.1165  0.5537
Se  0.9011  0.3835  0.0537
Se  0.9554  0.7459  0.0404
Se  0.9554  0.7541  0.5404
N  0.1324  0.7145  0.0190
N  0.1324  0.7855  0.5190
N  0.4286  0.0136  0.7850
N  0.4286  0.4864  0.2850
N  0.5714  0.5136  0.7150
N  0.5714  0.9864  0.2150
N  0.8676  0.2145  0.4810
N  0.8676  0.2855  0.9810
Cl  0.0103  0.2021  0.6694
Cl  0.0103  0.2979  0.1694
Cl  0.0726  0.5901  0.1915
Cl  0.0726  0.9099  0.6915
Cl  0.0944  0.6361  0.6279
Cl  0.0944  0.8639  0.1279
Cl  0.1896  0.1458  0.0537
Cl  0.1896  0.3542  0.5537
Cl  0.2028  0.0819  0.5529
Cl  0.2028  0.4181  0.0529
Cl  0.2809  0.5740  0.4051
Cl  0.2809  0.9260  0.9051
Cl  0.3542  0.0568  0.2895
Cl  0.3542  0.4432  0.7895
Cl  0.3630  0.6259  0.9600
Cl  0.3630  0.8741  0.4600
Cl  0.3838  0.1684  0.8876
Cl  0.3838  0.3316  0.3876
Cl  0.4462  0.7288  0.2744
Cl  0.4462  0.7712  0.7744
Cl  0.5538  0.2288  0.2256
Cl  0.5538  0.2712  0.7256
Cl  0.6162  0.6684  0.6124
Cl  0.6162  0.8316  0.1124
Cl  0.6370  0.1259  0.5400
Cl  0.6370  0.3741  0.0400
Cl  0.6458  0.5568  0.2105
Cl  0.6458  0.9432  0.7105
Cl  0.7191  0.0740  0.0949
Cl  0.7191  0.4260  0.5949
Cl  0.7972  0.5819  0.9471
Cl  0.7972  0.9181  0.4471
Cl  0.8104  0.6458  0.4463
Cl  0.8104  0.8542  0.9463
Cl  0.9056  0.1361  0.8721
Cl  0.9056  0.3639  0.3721
Cl  0.9274  0.0901  0.3085
Cl  0.9274  0.4099  0.8085
Cl  0.9897  0.7021  0.8306
Cl  0.9897  0.7979  0.3306

Properties
formation enthalpy at 0 K = -0.44 eV per atom
electronic total energy = -3.1310 eV per atom

An optimized crystal structure of Sr2NCl. Source: the Materials Project database, functional GGA-PBE.

a = 7.4580 Å, b = 7.4580 Å, c = 7.4580 Å
α = 30.43°, β = 30.43°, γ = 30.43°
Fractional coordinates of all 4 atoms:
Sr  0.2299  0.2299  0.2299
Sr  0.7701  0.7701  0.7701
N  0.5000  0.5000  0.5000
Cl  0.0000  0.0000  0.0000

Properties
formation enthalpy at 0 K = -1.57 eV per atom
electronic total energy = -4.8124 eV per atom

An optimized crystal structure of ThNCl. Source: the Materials Project database, functional GGA-PBE.

a = 4.0956 Å, b = 4.0956 Å, c = 7.0457 Å
α = 90.00°, β = 90.00°, γ = 90.00°
Fractional coordinates of all 6 atoms:
Th  0.2500  0.2500  0.1641
Th  0.7500  0.7500  0.8359
N  0.2500  0.7500  0.0000
N  0.7500  0.2500  0.0000
Cl  0.2500  0.2500  0.6232
Cl  0.7500  0.7500  0.3768

Properties
formation enthalpy at 0 K = -2.32 eV per atom
electronic total energy = -7.9774 eV per atom

An optimized crystal structure of Th2NCl2. Source: the Materials Project database, functional GGA-PBE.

a = 3.9455 Å, b = 3.9455 Å, c = 12.8423 Å
α = 90.00°, β = 90.00°, γ = 90.00°
Fractional coordinates of all 5 atoms:
Th  0.0000  0.0000  0.1617
Th  0.0000  0.0000  0.8383
N  0.0000  0.0000  0.0000
Cl  0.0000  0.0000  0.3616
Cl  0.0000  0.0000  0.6384

Properties
formation enthalpy at 0 K = -0.95 eV per atom
electronic total energy = -6.0734 eV per atom

An optimized crystal structure of TiN2Cl6. Source: the Materials Project database, functional GGA-PBE.

a = 6.8387 Å, b = 6.8387 Å, c = 6.8387 Å
α = 60.00°, β = 60.00°, γ = 60.00°
Fractional coordinates of all 9 atoms:
Ti  0.0000  0.0000  0.0000
N  0.2500  0.2500  0.2500
N  0.7500  0.7500  0.7500
Cl  0.2420  0.2420  0.7580
Cl  0.2420  0.7580  0.2420
Cl  0.2420  0.7580  0.7580
Cl  0.7580  0.2420  0.2420
Cl  0.7580  0.2420  0.7580
Cl  0.7580  0.7580  0.2420

Properties
formation enthalpy at 0 K = 0.09 eV per atom
electronic total energy = -3.4584 eV per atom